Version one
LiCr2P5O16: optimized geometry, PBE+U.

Unit cell a=7.502 b=9.386 c=10.280 alpha=90.00 beta=111.73 gamma=90.00
Sites, in units of the cell vectors:
Li (0.000, 0.206, 0.000)
Li (0.000, 0.794, 0.500)
Cr (0.386, 0.141, 0.799)
Cr (0.386, 0.859, 0.299)
Cr (0.934, 0.368, 0.399)
Cr (0.934, 0.632, 0.899)
P (0.127, 0.415, 0.736)
P (0.127, 0.585, 0.236)
P (0.288, 0.126, 0.464)
P (0.288, 0.874, 0.964)
P (0.525, 0.458, 0.774)
P (0.525, 0.542, 0.274)
P (0.580, 0.294, 0.136)
P (0.580, 0.706, 0.636)
P (0.628, 0.137, 0.393)
P (0.628, 0.863, 0.893)
O (0.015, 0.462, 0.824)
O (0.015, 0.538, 0.324)
O (0.050, 0.465, 0.584)
O (0.050, 0.535, 0.084)
O (0.154, 0.255, 0.755)
O (0.154, 0.745, 0.255)
O (0.169, 0.260, 0.416)
O (0.169, 0.740, 0.916)
O (0.237, 0.012, 0.349)
O (0.237, 0.988, 0.849)
O (0.301, 0.063, 0.604)
O (0.301, 0.937, 0.104)
O (0.337, 0.495, 0.806)
O (0.337, 0.505, 0.306)
O (0.480, 0.230, 0.996)
O (0.480, 0.770, 0.496)
O (0.496, 0.454, 0.132)
O (0.496, 0.546, 0.632)
O (0.505, 0.215, 0.245)
O (0.505, 0.785, 0.745)
O (0.509, 0.177, 0.486)
O (0.509, 0.823, 0.986)
O (0.528, 0.301, 0.745)
O (0.528, 0.699, 0.245)
O (0.627, 0.022, 0.866)
O (0.627, 0.978, 0.366)
O (0.695, 0.480, 0.389)
O (0.695, 0.520, 0.889)
O (0.797, 0.295, 0.196)
O (0.797, 0.705, 0.696)
O (0.826, 0.197, 0.459)
O (0.826, 0.803, 0.959)

Version two
LiCr2P5O16: optimized geometry, PBE+U.

Unit cell a=5.004 b=6.717 c=18.704 alpha=90.00 beta=90.37 gamma=90.00
Sites, in units of the cell vectors:
Li (0.000, 0.133, 0.000)
Li (0.000, 0.867, 0.500)
Cr (0.017, 0.318, 0.566)
Cr (0.017, 0.682, 0.066)
Cr (0.526, 0.320, 0.882)
Cr (0.526, 0.680, 0.382)
P (0.013, 0.035, 0.843)
P (0.013, 0.965, 0.343)
P (0.039, 0.374, 0.398)
P (0.039, 0.626, 0.898)
P (0.279, 0.247, 0.724)
P (0.279, 0.753, 0.224)
P (0.506, 0.376, 0.053)
P (0.506, 0.624, 0.553)
P (0.532, 0.033, 0.605)
P (0.532, 0.967, 0.105)
O (0.060, 0.197, 0.338)
O (0.060, 0.803, 0.838)
O (0.084, 0.090, 0.762)
O (0.084, 0.910, 0.262)
O (0.120, 0.357, 0.669)
O (0.120, 0.643, 0.169)
O (0.200, 0.136, 0.897)
O (0.200, 0.864, 0.397)
O (0.209, 0.427, 0.044)
O (0.209, 0.573, 0.544)
O (0.321, 0.119, 0.556)
O (0.321, 0.881, 0.056)
O (0.326, 0.445, 0.406)
O (0.326, 0.555, 0.906)
O (0.426, 0.366, 0.780)
O (0.426, 0.634, 0.280)
O (0.493, 0.102, 0.686)
O (0.493, 0.898, 0.186)
O (0.496, 0.201, 0.114)
O (0.496, 0.799, 0.614)
O (0.628, 0.275, 0.986)
O (0.628, 0.725, 0.486)
O (0.680, 0.462, 0.585)
O (0.680, 0.538, 0.085)
O (0.720, 0.071, 0.857)
O (0.720, 0.929, 0.357)
O (0.822, 0.062, 0.584)
O (0.822, 0.938, 0.084)
O (0.851, 0.474, 0.865)
O (0.851, 0.526, 0.365)
O (0.934, 0.271, 0.466)
O (0.934, 0.729, 0.966)

Which of them is least stable? Easy: version one.

Version one
Li2CrSi6O15: optimized geometry, PBE+U.

Unit cell a=6.703 b=7.336 c=7.339 alpha=97.51 beta=114.09 gamma=110.97
Sites, in units of the cell vectors:
Li (0.204, 0.171, 0.191)
Li (0.796, 0.829, 0.809)
Cr (0.500, 0.000, 0.000)
Si (0.147, 0.213, 0.798)
Si (0.224, 0.696, 0.513)
Si (0.369, 0.607, 0.172)
Si (0.631, 0.393, 0.828)
Si (0.776, 0.304, 0.487)
Si (0.853, 0.787, 0.202)
O (0.000, 0.500, 0.500)
O (0.123, 0.849, 0.399)
O (0.161, 0.011, 0.855)
O (0.190, 0.365, 0.014)
O (0.324, 0.769, 0.053)
O (0.325, 0.606, 0.373)
O (0.346, 0.349, 0.735)
O (0.454, 0.824, 0.749)
O (0.546, 0.176, 0.251)
O (0.654, 0.651, 0.265)
O (0.675, 0.394, 0.627)
O (0.676, 0.231, 0.947)
O (0.810, 0.635, 0.986)
O (0.839, 0.989, 0.145)
O (0.877, 0.151, 0.601)

Version two
Li2CrSi6O15: optimized geometry, PBE+U.

Unit cell a=11.042 b=11.042 c=10.050 alpha=90.00 beta=90.00 gamma=100.11
Sites, in units of the cell vectors:
Li (0.013, 0.487, 0.250)
Li (0.241, 0.241, 0.000)
Li (0.259, 0.259, 0.500)
Li (0.487, 0.013, 0.750)
Li (0.513, 0.987, 0.250)
Li (0.741, 0.741, 0.500)
Li (0.759, 0.759, 0.000)
Li (0.987, 0.513, 0.750)
Cr (0.161, 0.339, 0.750)
Cr (0.339, 0.161, 0.250)
Cr (0.661, 0.839, 0.750)
Cr (0.839, 0.661, 0.250)
Si (0.021, 0.759, 0.510)
Si (0.044, 0.183, 0.198)
Si (0.075, 0.705, 0.045)
Si (0.183, 0.044, 0.802)
Si (0.205, 0.575, 0.545)
Si (0.241, 0.979, 0.510)
Si (0.259, 0.521, 0.010)
Si (0.295, 0.925, 0.045)
Si (0.317, 0.456, 0.302)
Si (0.425, 0.795, 0.545)
Si (0.456, 0.317, 0.698)
Si (0.479, 0.741, 0.010)
Si (0.521, 0.259, 0.990)
Si (0.544, 0.683, 0.302)
Si (0.575, 0.205, 0.455)
Si (0.683, 0.544, 0.698)
Si (0.705, 0.075, 0.955)
Si (0.741, 0.479, 0.990)
Si (0.759, 0.021, 0.490)
Si (0.795, 0.425, 0.455)
Si (0.817, 0.956, 0.198)
Si (0.925, 0.295, 0.955)
Si (0.956, 0.817, 0.802)
Si (0.979, 0.241, 0.490)
O (0.000, 0.353, 0.825)
O (0.000, 0.647, 0.175)
O (0.015, 0.275, 0.078)
O (0.031, 0.261, 0.335)
O (0.058, 0.942, 0.801)
O (0.096, 0.257, 0.589)
O (0.103, 0.897, 0.497)
O (0.106, 0.655, 0.485)
O (0.147, 0.500, 0.675)
O (0.155, 0.606, 0.985)
O (0.157, 0.180, 0.832)
O (0.166, 0.834, 0.082)
O (0.180, 0.157, 0.168)
O (0.225, 0.485, 0.422)
O (0.239, 0.469, 0.165)
O (0.243, 0.404, 0.911)
O (0.257, 0.096, 0.411)
O (0.261, 0.031, 0.665)
O (0.275, 0.015, 0.922)
O (0.320, 0.343, 0.668)
O (0.334, 0.666, 0.582)
O (0.343, 0.320, 0.332)
O (0.345, 0.894, 0.485)
O (0.353, 0.000, 0.175)
O (0.394, 0.845, 0.985)
O (0.397, 0.603, 0.997)
O (0.404, 0.243, 0.089)
O (0.442, 0.558, 0.301)
O (0.469, 0.239, 0.835)
O (0.485, 0.225, 0.578)
O (0.500, 0.147, 0.325)
O (0.500, 0.853, 0.675)
O (0.515, 0.775, 0.422)
O (0.531, 0.761, 0.165)
O (0.558, 0.442, 0.699)
O (0.596, 0.757, 0.911)
O (0.603, 0.397, 0.003)
O (0.606, 0.155, 0.015)
O (0.647, 0.000, 0.825)
O (0.655, 0.106, 0.515)
O (0.657, 0.680, 0.668)
O (0.666, 0.334, 0.418)
O (0.680, 0.657, 0.332)
O (0.725, 0.985, 0.078)
O (0.739, 0.969, 0.335)
O (0.743, 0.904, 0.589)
O (0.757, 0.596, 0.089)
O (0.761, 0.531, 0.835)
O (0.775, 0.515, 0.578)
O (0.820, 0.843, 0.832)
O (0.834, 0.166, 0.918)
O (0.843, 0.820, 0.168)
O (0.845, 0.394, 0.015)
O (0.853, 0.500, 0.325)
O (0.894, 0.345, 0.515)
O (0.897, 0.103, 0.503)
O (0.904, 0.743, 0.411)
O (0.942, 0.058, 0.199)
O (0.969, 0.739, 0.665)
O (0.985, 0.725, 0.922)

Which of them is least stable? Easy: version one.

Version one
Li2CrSi6O15: optimized geometry, PBE+U.

Unit cell a=9.730 b=9.730 c=9.730 alpha=132.81 beta=80.91 gamma=118.58
Sites, in units of the cell vectors:
Li (0.256, 0.000, 0.756)
Li (0.256, 0.500, 0.256)
Li (0.744, 0.000, 0.244)
Li (0.744, 0.500, 0.744)
Cr (0.000, 0.000, 0.000)
Cr (0.500, 0.000, 0.500)
Si (0.110, 0.270, 0.455)
Si (0.110, 0.655, 0.840)
Si (0.315, 0.270, 0.660)
Si (0.315, 0.655, 0.045)
Si (0.379, 0.727, 0.652)
Si (0.425, 0.273, 0.152)
Si (0.575, 0.727, 0.848)
Si (0.621, 0.273, 0.348)
Si (0.685, 0.345, 0.955)
Si (0.685, 0.730, 0.340)
Si (0.890, 0.345, 0.160)
Si (0.890, 0.730, 0.545)
O (0.015, 0.265, 0.107)
O (0.015, 0.908, 0.751)
O (0.026, 0.397, 0.629)
O (0.174, 0.165, 0.491)
O (0.174, 0.683, 0.009)
O (0.238, 0.171, 0.068)
O (0.267, 0.397, 0.871)
O (0.268, 0.457, 0.475)
O (0.268, 0.793, 0.811)
O (0.343, 0.092, 0.607)
O (0.343, 0.735, 0.251)
O (0.397, 0.829, 0.568)
O (0.451, 0.201, 0.250)
O (0.482, 0.457, 0.689)
O (0.482, 0.793, 0.025)
O (0.518, 0.207, 0.975)
O (0.518, 0.543, 0.311)
O (0.549, 0.799, 0.750)
O (0.603, 0.171, 0.432)
O (0.657, 0.265, 0.749)
O (0.657, 0.908, 0.393)
O (0.732, 0.207, 0.189)
O (0.732, 0.543, 0.525)
O (0.733, 0.603, 0.129)
O (0.762, 0.829, 0.932)
O (0.826, 0.317, 0.991)
O (0.826, 0.835, 0.509)
O (0.974, 0.603, 0.371)
O (0.985, 0.092, 0.249)
O (0.985, 0.735, 0.893)

Version two
Li2CrSi6O15: optimized geometry, PBE+U.

Unit cell a=10.013 b=10.013 c=14.240 alpha=90.00 beta=90.00 gamma=120.00
Sites, in units of the cell vectors:
Li (0.000, 0.500, 0.000)
Li (0.000, 0.500, 0.500)
Li (0.333, 0.667, 0.250)
Li (0.500, 0.000, 0.000)
Li (0.500, 0.000, 0.500)
Li (0.500, 0.500, 0.000)
Li (0.500, 0.500, 0.500)
Li (0.667, 0.333, 0.750)
Cr (0.333, 0.667, 0.502)
Cr (0.333, 0.667, 0.998)
Cr (0.667, 0.333, 0.002)
Cr (0.667, 0.333, 0.498)
Si (0.127, 0.361, 0.138)
Si (0.127, 0.361, 0.362)
Si (0.127, 0.765, 0.639)
Si (0.127, 0.765, 0.861)
Si (0.234, 0.873, 0.138)
Si (0.234, 0.873, 0.362)
Si (0.235, 0.362, 0.639)
Si (0.235, 0.362, 0.861)
Si (0.361, 0.127, 0.638)
Si (0.361, 0.127, 0.862)
Si (0.362, 0.235, 0.139)
Si (0.362, 0.235, 0.361)
Si (0.638, 0.873, 0.639)
Si (0.638, 0.873, 0.861)
Si (0.639, 0.766, 0.138)
Si (0.639, 0.766, 0.362)
Si (0.765, 0.127, 0.139)
Si (0.765, 0.127, 0.361)
Si (0.766, 0.639, 0.638)
Si (0.766, 0.639, 0.862)
Si (0.873, 0.234, 0.638)
Si (0.873, 0.234, 0.862)
Si (0.873, 0.638, 0.139)
Si (0.873, 0.638, 0.361)
O (0.051, 0.285, 0.617)
O (0.051, 0.285, 0.883)
O (0.052, 0.768, 0.115)
O (0.052, 0.768, 0.385)
O (0.141, 0.735, 0.750)
O (0.154, 0.419, 0.250)
O (0.169, 0.658, 0.575)
O (0.169, 0.658, 0.925)
O (0.170, 0.514, 0.078)
O (0.170, 0.514, 0.422)
O (0.232, 0.284, 0.115)
O (0.232, 0.284, 0.385)
O (0.234, 0.949, 0.617)
O (0.234, 0.949, 0.883)
O (0.265, 0.406, 0.750)
O (0.265, 0.846, 0.250)
O (0.284, 0.232, 0.615)
O (0.284, 0.232, 0.885)
O (0.285, 0.051, 0.117)
O (0.285, 0.051, 0.383)
O (0.342, 0.511, 0.575)
O (0.342, 0.511, 0.925)
O (0.344, 0.830, 0.078)
O (0.344, 0.830, 0.422)
O (0.406, 0.265, 0.250)
O (0.419, 0.154, 0.750)
O (0.486, 0.656, 0.078)
O (0.486, 0.656, 0.422)
O (0.489, 0.831, 0.575)
O (0.489, 0.831, 0.925)
O (0.511, 0.342, 0.075)
O (0.511, 0.342, 0.425)
O (0.514, 0.170, 0.578)
O (0.514, 0.170, 0.922)
O (0.581, 0.735, 0.250)
O (0.594, 0.859, 0.750)
O (0.656, 0.486, 0.578)
O (0.656, 0.486, 0.922)
O (0.658, 0.169, 0.075)
O (0.658, 0.169, 0.425)
O (0.715, 0.766, 0.617)
O (0.715, 0.766, 0.883)
O (0.716, 0.948, 0.115)
O (0.716, 0.948, 0.385)
O (0.735, 0.141, 0.250)
O (0.735, 0.581, 0.750)
O (0.766, 0.715, 0.117)
O (0.766, 0.715, 0.383)
O (0.768, 0.052, 0.615)
O (0.768, 0.052, 0.885)
O (0.830, 0.344, 0.578)
O (0.830, 0.344, 0.922)
O (0.831, 0.489, 0.075)
O (0.831, 0.489, 0.425)
O (0.846, 0.265, 0.750)
O (0.859, 0.594, 0.250)
O (0.948, 0.716, 0.615)
O (0.948, 0.716, 0.885)
O (0.949, 0.234, 0.117)
O (0.949, 0.234, 0.383)

Which of them is least stable? Easy: version one.